1.
GGA-PBE TePd3, optimized geometry; polymorph energy (0 for the lowest one) = 0.0570 eV/atom; space group = No. 65; formation enthalpy at 0 K = -0.18 eV/atom
1.0
-2.480 -1.762 1.762
-2.480 1.762 -1.762
0.000 -4.027 -4.027
Pd Te
3 1
Cartesian
-2.480 -3.013 -3.013 Pd
0.000 -2.014 -2.014 Pd
-2.480 -1.014 -1.014 Pd
0.000 0.000 0.000 Te

***

2.
GGA-PBE K3TbSi2O7, optimized geometry; space group = No. 193; formation enthalpy at 0 K = -3.08 eV/atom
1.0
-3.837 5.969 -7.027
-1.544 2.022 9.657
12.088 8.058 0.245
K O Si Tb
18 42 12 6
Cartesian
0.714 5.352 4.157 K
6.115 6.115 6.597 K
5.994 10.697 -1.282 K
9.954 8.674 6.675 K
8.422 11.312 -4.472 K
9.200 9.975 1.096 K
6.044 4.029 0.123 K
4.429 3.965 3.305 K
0.000 0.000 0.000 K
5.361 7.416 1.018 K
1.347 8.634 1.858 K
-2.492 6.075 1.780 K
6.758 9.382 4.280 K
-0.050 6.668 -1.404 K
3.668 5.275 -2.232 K
4.583 8.753 -4.550 K
0.590 1.406 3.227 K
-0.171 2.716 -2.309 K
4.618 8.401 6.043 O
3.306 4.258 0.553 O
-1.372 6.099 -5.744 O
7.147 6.277 -1.088 O
-1.214 4.239 -0.220 O
5.879 13.443 2.373 O
0.747 5.554 -4.106 O
4.103 9.265 3.018 O
2.107 3.214 5.788 O
8.907 10.477 -1.631 O
7.554 5.577 1.872 O
7.922 11.810 3.096 O
7.505 8.473 -2.676 O
1.620 8.118 4.584 O
3.418 10.465 -2.684 O
3.402 11.792 2.322 O
-2.937 6.843 -0.863 O
1.104 7.750 -5.694 O
0.832 5.267 1.132 O
7.237 13.011 -2.606 O
0.829 2.607 0.503 O
-0.529 3.039 5.482 O
5.876 10.783 1.744 O
3.747 9.877 0.431 O
2.090 7.649 -3.168 O
2.960 6.173 2.444 O
-0.858 3.627 2.367 O
3.290 5.584 5.559 O
2.990 4.503 8.030 O
10.031 7.228 1.922 O
0.882 9.389 -0.786 O
2.605 6.785 -0.143 O
8.437 10.946 6.121 O
-2.199 5.573 4.507 O
9.645 9.207 3.739 O
0.514 2.852 7.980 O
5.088 7.931 -1.709 O
9.624 7.928 -1.038 O
-1.729 5.103 -3.245 O
7.566 12.422 0.509 O
8.438 6.867 4.114 O
5.826 6.661 3.661 O
2.480 5.605 0.985 Si
0.711 2.484 6.396 Si
6.463 7.219 -2.241 Si
-0.799 5.084 -4.593 Si
4.228 10.445 1.890 Si
1.789 6.809 -4.541 Si
6.816 12.170 1.943 Si
3.299 4.209 6.448 Si
-0.109 3.880 0.933 Si
7.245 5.871 3.454 Si
9.833 7.597 3.507 Si
9.051 8.944 -2.188 Si
3.022 2.015 0.061 Tb
-2.308 3.338 4.096 Tb
3.736 7.367 4.218 Tb
-3.072 4.654 -1.466 Tb
2.972 8.683 -1.343 Tb
9.066 6.044 0.184 Tb

***

3.
GGA-PBE Ca3Re3N5, optimized geometry; space group = No. 2; formation enthalpy at 0 K = -0.52 eV/atom
1.0
5.993 0.018 -0.077
-0.660 6.802 -0.030
-2.189 -2.840 8.129
Ca Re N
6 6 10
Cartesian
3.212 1.262 4.926 Ca
3.096 3.852 1.564 Ca
1.805 0.583 0.894 Ca
0.049 0.128 6.458 Ca
-0.067 2.718 3.097 Ca
1.339 3.397 7.129 Ca
4.543 -0.040 2.422 Re
0.188 4.535 0.266 Re
0.875 -0.729 3.509 Re
2.956 -0.555 7.757 Re
-1.398 4.020 5.601 Re
2.269 4.709 4.514 Re
2.092 1.171 7.374 N
-0.581 5.648 1.648 N
-1.206 2.728 7.003 N
-0.598 0.490 4.211 N
0.330 4.609 4.996 N
4.350 1.252 1.019 N
2.814 -0.629 3.027 N
3.725 -1.668 6.375 N
3.743 3.490 3.812 N
1.052 2.809 0.649 N

***

4.
GGA-PBE ZrCrCuS4, optimized geometry; polymorph energy (0 for the lowest one) = 0.0716 eV/atom; space group = No. 3; formation enthalpy at 0 K = -1.19 eV/atom
1.0
-3.541 -6.134 0.000
-5.256 3.035 0.134
0.113 -0.066 -5.967
Cr Cu S Zr
2 2 8 2
Cartesian
-8.739 -3.130 -2.850 Cr
-3.454 -0.043 -2.917 Cr
-1.643 -3.107 -5.967 Cu
0.094 -0.099 -5.967 Cu
-5.080 1.010 -1.410 S
-3.473 -4.197 -4.475 S
-7.040 -2.137 -1.358 S
-3.587 1.941 -4.297 S
-5.163 -1.040 -4.371 S
-1.668 0.833 -1.537 S
-3.462 -2.022 -1.463 S
-1.728 -0.926 -4.423 S
-6.912 0.035 -2.850 Zr
-5.277 -3.202 -2.917 Zr

***

5.
GGA-PBE NdMgS3, optimized geometry; formation enthalpy at 0 K = -1.53 eV/atom
1.0
7.114 0.000 -3.220
0.000 11.613 0.000
-1.704 0.000 7.484
S Nd Mg
12 4 4
Cartesian
4.030 9.851 3.992 S
0.473 7.569 5.602 S
1.380 9.851 0.272 S
4.030 1.762 3.992 S
4.472 5.806 2.788 S
4.495 0.000 -0.133 S
1.380 1.762 0.272 S
0.473 4.044 5.602 S
4.937 7.569 -1.337 S
4.937 4.044 -1.337 S
0.938 5.806 1.477 S
0.915 0.000 4.398 S
5.526 0.000 2.468 Nd
3.440 5.806 0.187 Nd
1.969 5.806 4.078 Nd
-0.117 0.000 1.797 Nd
3.557 9.754 -1.610 Mg
0.000 7.665 0.000 Mg
3.557 1.859 -1.610 Mg
0.000 3.948 0.000 Mg

***

6.
GGA-PBE KCaSiHO4, optimized geometry; space group = No. 4; formation enthalpy at 0 K = -2.76 eV/atom
1.0
7.539 0.000 0.000
0.000 5.608 0.000
0.000 2.707 4.966
O Si K Ca H
8 2 2 2 2
Cartesian
7.070 6.446 3.508 O
1.958 2.962 3.504 O
5.745 4.080 3.894 O
1.975 4.236 1.072 O
5.728 5.353 1.462 O
0.676 1.835 1.400 O
4.445 6.480 3.566 O
3.300 1.869 1.458 O
5.689 5.511 3.102 Si
1.919 2.805 1.865 Si
2.012 5.573 3.580 K
5.781 2.742 1.387 K
3.883 8.270 4.931 Ca
0.114 0.046 0.035 Ca
7.520 6.832 2.658 H
3.750 1.484 2.309 H